# 1
VASP calculation (GGA-PBE) on LaAlO3 after structural relaxation.

Cell: 5.399 5.399 5.399 Å, 119.95 90.24 119.78°
Sites, in units of the cell vectors:
La: 0.251 0.001 0.250
La: 0.749 0.999 0.750
Al: 0.000 0.500 0.500
Al: 0.500 0.500 0.000
O: 0.210 0.460 0.750
O: 0.271 0.000 0.771
O: 0.271 0.500 0.271
O: 0.729 0.000 0.229
O: 0.729 0.500 0.729
O: 0.790 0.540 0.250

Calculated values
VASP energy = -0.5891 Ry/atom
ΔH_f (0 K) = -3.722 eV per atom

# 2
VASP calculation (GGA-PBE) on LaAlO3 after structural relaxation.

Cell: 3.811 3.811 3.811 Å, 90.00 90.00 90.00°
Sites, in units of the cell vectors:
La: 0.000 0.000 0.000
Al: 0.500 0.500 0.500
O: 0.000 0.500 0.500
O: 0.500 0.000 0.500
O: 0.500 0.500 0.000

Calculated values
VASP energy = -0.5886 Ry/atom
ΔH_f (0 K) = -3.715 eV per atom

# 3
VASP calculation (GGA-PBE) on LaAlO3 after structural relaxation.

Cell: 6.819 7.901 8.055 Å, 102.70 92.72 93.24°
Sites, in units of the cell vectors:
La: 0.084 0.247 0.028
La: 0.277 0.400 0.609
La: 0.379 0.923 0.690
La: 0.621 0.077 0.310
La: 0.723 0.600 0.391
La: 0.916 0.753 0.972
Al: 0.143 0.977 0.295
Al: 0.189 0.605 0.299
Al: 0.411 0.724 0.033
Al: 0.589 0.276 0.967
Al: 0.811 0.395 0.701
Al: 0.857 0.023 0.705
O: 0.034 0.778 0.326
O: 0.053 0.949 0.809
O: 0.055 0.411 0.317
O: 0.225 0.571 0.075
O: 0.303 0.083 0.463
O: 0.304 0.927 0.120
O: 0.361 0.245 0.847
O: 0.384 0.646 0.455
O: 0.434 0.684 0.813
O: 0.566 0.316 0.187
O: 0.616 0.354 0.545
O: 0.639 0.755 0.153
O: 0.696 0.073 0.880
O: 0.697 0.917 0.537
O: 0.775 0.429 0.925
O: 0.945 0.589 0.683
O: 0.947 0.051 0.191
O: 0.966 0.222 0.674

Calculated values
VASP energy = -0.5830 Ry/atom
magnetization = 0.0 μB per cell
ΔH_f (0 K) = -3.640 eV per atom

# 4
VASP calculation (GGA-PBE) on LaAlO3 after structural relaxation.

Cell: 7.153 7.153 10.247 Å, 90.00 90.00 59.89°
Sites, in units of the cell vectors:
La: 0.000 0.000 0.000
La: 0.000 0.000 0.500
La: 0.329 0.329 0.000
La: 0.329 0.329 0.500
La: 0.671 0.671 0.000
La: 0.671 0.671 0.500
Al: 0.076 0.666 0.250
Al: 0.334 0.924 0.250
Al: 0.406 0.594 0.750
Al: 0.594 0.406 0.250
Al: 0.666 0.076 0.750
Al: 0.924 0.334 0.750
O: 0.021 0.334 0.593
O: 0.021 0.334 0.907
O: 0.094 0.906 0.250
O: 0.312 0.688 0.590
O: 0.312 0.688 0.910
O: 0.334 0.021 0.093
O: 0.334 0.021 0.407
O: 0.335 0.425 0.250
O: 0.425 0.335 0.750
O: 0.575 0.665 0.250
O: 0.665 0.575 0.750
O: 0.666 0.979 0.593
O: 0.666 0.979 0.907
O: 0.688 0.312 0.090
O: 0.688 0.312 0.410
O: 0.906 0.094 0.750
O: 0.979 0.666 0.093
O: 0.979 0.666 0.407

Calculated values
VASP energy = -0.5891 Ry/atom
ΔH_f (0 K) = -3.722 eV per atom